A plane-wave DFT calculation with PBE-GGA was carried out for a relaxed structure of Pr3InN.

Output
Energy relative to the elements ... -0.8987 eV per atom
Symmetry ... Pm-3m
Corrected total energy (MP2020 scheme) ... -5.985 eV per atom

Cell: 5.0876 5.0876 5.0876 Å, 90.00 90.00 90.00°
Sites, in units of the cell vectors:
Pr: 0.5000 0.5000 0.0000
Pr: 0.0000 0.5000 0.5000
Pr: 0.5000 0.0000 0.5000
In: 0.0000 0.0000 0.0000
N: 0.5000 0.5000 0.5000

A plane-wave DFT calculation with PBE-GGA was carried out for a relaxed structure of In4S3N2.

Output
Energy relative to the elements ... -0.3574 eV per atom
Symmetry ... C2/m
Corrected total energy (MP2020 scheme) ... -4.812 eV per atom

Cell: 6.6292 3.7763 9.9687 Å, 90.00 50.84 73.45°
Sites, in units of the cell vectors:
In: 0.2523 0.8738 0.6541
In: 0.7477 0.1262 0.3459
In: 0.5719 0.7141 0.1347
In: 0.4281 0.2859 0.8653
S: 0.0000 0.0000 0.0000
S: 0.7773 0.6114 0.8003
S: 0.2227 0.3886 0.1997
N: 0.5445 0.7278 0.3613
N: 0.4555 0.2722 0.6387